# BaCN2 (PBE, optimized geometry)
# **E (MP2020)**: -566.91 eV/cell
# **Size of the total moment**: 0.00 μB per atom
# **Crystal system**: trigonal
# **V**: 1504 Å³ per cell
data_BaCN2
_chemical_formula_sum 'Ba18 C18 N36'
_cell_length_a 15.1891
_cell_length_b 15.1891
_cell_length_c 7.5274
_cell_angle_alpha 90.00
_cell_angle_beta 90.00
_cell_angle_gamma 120.00
_space_group_name_H-M_alt 'R -3 c'
_space_group_IT_number 167
_space_group_name_Hall '-R 3 2"c'
loop_
_atom_site_label
_atom_site_fract_x
_atom_site_fract_y
_atom_site_fract_z
Ba1 0.0000 0.2101 0.2500
C1 0.0000 0.2163 0.7500
N1 0.0489 0.2401 0.8911